[1]
Here is a geometry-optimized SO4 structure from the Materials Project. Energies are from PBE-GGA.

Structure (extended XYZ):
```
10
Lattice="3.0533 -0.8709 3.8436 4.9543 0.1444 -0.5371 3.0113 7.9539 3.1502" Properties=species:S:1:pos:R:3 pbc="T T T"
S 2.8001 3.4253 1.5195
S 3.9637 7.2195 3.8829
O 3.2893 -0.7744 3.5782
O 6.4233 4.0722 1.4010
O 6.5980 3.8197 5.1334
O 6.0600 0.3596 1.3283
O 5.2515 6.6804 3.3944
O 3.4434 2.5419 2.5162
O 8.1803 6.1332 3.7231
O 5.8023 1.6904 4.1580
```

Values from the calculation:
final energy: -53.59 eV per cell
polymorph energy (0 for the lowest one): 0.000 eV per atom

[2]
Here is a geometry-optimized Na3SbF6 structure from the Materials Project. Energies are from PBE-GGA.

Structure (extended XYZ):
```
10
Lattice="-2.6983 -5.0935 2.3271 -3.7303 5.8242 -2.1348 0.9070 4.0271 -6.7732" Properties=species:S:1:pos:R:3 pbc="T T T"
Na 0.4535 2.0136 -3.3866
Na -3.2143 0.3654 0.0961
Na -1.8652 2.9121 -1.0674
Sb 0.0000 0.0000 0.0000
F -3.2186 0.5081 -3.7014
F -2.3030 4.2497 -2.8796
F -4.7342 3.7710 -4.7592
F -0.7874 0.9869 -1.8218
F -3.6990 6.0566 -6.8393
F -1.8226 -1.2988 0.2583
```

Values from the calculation:
final energy: -44.07 eV per cell
polymorph energy (0 for the lowest one): 0.000 eV per atom

[3]
Here is a geometry-optimized PrMn2Ge2 structure from the Materials Project. Energies are from PBE-GGA.

Structure (extended XYZ):
```
5
Lattice="4.7473 1.7359 3.6378 3.0745 5.4011 -0.3990 -5.7479 -2.3873 0.2142" Properties=species:S:1:pos:R:3 pbc="T T T"
Pr 0.0000 0.0000 0.0000
Mn 1.4552 1.4585 2.7357
Mn 0.6188 3.2911 0.7173
Ge 4.8850 4.4573 2.0227
Ge 2.9368 2.6797 1.2160
```

Values from the calculation:
final energy: -34.64 eV per cell

- Which of these has the lowest final energy?
  SO4